MgCu2I4O12 | PBE-GGA | relaxed Values from VASP.

Results
mass density: 4.5 g cm⁻³
ΔE_f: -918 meV/atom
ΔE to the lowest computed polymorph: 48 meV per atom

Structure (Quantum ESPRESSO input):
```
&SYSTEM
  ibrav = 0, nat = 19, ntyp = 4
/
ATOMIC_SPECIES
Cu 63.55 Cu.upf
O 16.00 O.upf
I 126.90 I.upf
Mg 24.30 Mg.upf
ATOMIC_POSITIONS angstrom
Cu 3.320 2.922 4.052
Cu 3.320 0.184 4.052
O 1.910 0.092 7.520
O 4.268 5.917 6.040
O 1.910 3.014 7.520
O 3.798 4.660 3.189
O 1.632 0.181 2.683
O 4.268 3.402 6.040
O 2.595 1.553 5.273
O 0.785 4.660 5.412
O 4.257 6.029 0.731
O 5.118 1.553 3.486
O 1.632 2.926 2.683
O 4.257 3.290 0.731
I 5.539 4.660 6.753
I 0.466 1.553 2.218
I 3.018 1.553 7.134
I 3.218 4.660 1.371
Mg 2.567 4.660 6.282
CELL_PARAMETERS angstrom
5.901 0.000 -0.081
0.000 6.213 0.000
0.192 0.000 8.527
```


Al2P3H9C3O9 | PBE-GGA | relaxed Values from VASP.

Results
mass density: 1.5 g cm⁻³
ΔE_f: -1691 meV/atom

Structure (Quantum ESPRESSO input):
```
&SYSTEM
  ibrav = 0, nat = 104, ntyp = 5
/
ATOMIC_SPECIES
Al 26.98 Al.upf
H 1.01 H.upf
C 12.01 C.upf
O 16.00 O.upf
P 30.97 P.upf
ATOMIC_POSITIONS angstrom
Al 4.220 -4.908 0.510
Al 7.923 -1.200 0.510
Al 9.282 -6.261 0.510
Al 7.142 -4.123 4.274
Al 7.923 1.200 4.863
Al 4.220 4.908 4.863
Al 9.282 6.261 4.863
Al 7.142 4.123 8.628
H 10.617 1.677 2.521
H 4.501 -0.485 3.252
H 11.832 -2.708 1.753
H 6.022 8.893 6.106
H 11.030 -1.960 3.168
H 7.522 8.356 2.521
H 5.311 8.229 7.606
H 5.311 -8.229 3.252
H 6.495 6.885 2.616
H 3.571 0.769 6.106
H 7.522 -8.356 6.874
H 5.073 -2.182 6.969
H 7.071 8.573 7.521
H 3.571 -0.769 1.753
H 6.774 -7.666 5.395
H 6.022 -8.893 1.753
H 5.073 2.182 2.616
H 4.501 0.485 7.606
H 10.394 2.670 1.041
H 3.323 -1.837 3.168
H 11.612 -3.655 3.252
H 11.612 3.655 7.606
H 3.323 1.837 7.521
H 6.774 7.666 1.041
H 4.257 2.034 1.041
H 10.617 -1.677 6.874
H 3.286 2.337 2.521
H 4.257 -2.034 5.395
H 10.394 -2.670 5.395
H 3.286 -2.337 6.874
H 9.856 -3.302 6.969
H 11.030 1.960 7.521
H 7.071 -8.573 3.168
H 9.856 3.302 2.616
H 6.495 -6.885 6.969
H 11.832 2.708 6.106
C 11.164 2.891 6.957
C 4.235 2.545 2.010
C 9.962 2.395 2.010
C 6.197 8.223 6.957
C 7.228 7.430 2.010
C 4.235 -2.545 6.364
C 4.063 -1.255 2.604
C 7.228 -7.430 6.364
C 4.063 1.255 6.957
C 6.197 -8.223 2.604
C 9.962 -2.395 6.364
C 11.164 -2.891 2.604
O 5.192 -6.158 1.257
O 9.676 7.267 0.948
O 7.743 -1.285 7.479
O 5.689 4.650 1.015
O 9.879 -4.794 1.257
O 8.324 5.118 1.015
O 7.412 2.602 1.015
O 5.192 6.158 5.610
O 9.058 -2.449 0.984
O 7.633 6.620 5.337
O 8.640 3.651 7.546
O 3.151 -4.746 5.302
O 9.676 -7.267 5.302
O 6.354 1.417 5.610
O 5.983 3.062 7.546
O 6.802 -5.657 3.192
O 8.640 -3.651 3.192
O 7.743 1.285 3.125
O 7.412 -2.602 5.369
O 4.734 -3.301 0.984
O 3.151 4.746 0.948
O 9.879 4.794 5.610
O 5.983 -3.062 3.192
O 5.689 -4.650 5.369
O 4.383 5.022 3.125
O 9.058 2.449 5.337
O 4.383 -5.022 7.479
O 6.802 5.657 7.546
O 9.299 -6.063 7.479
O 8.324 -5.118 5.369
O 9.299 6.063 3.125
O 8.597 -0.356 5.302
O 7.633 -6.620 0.984
O 8.597 0.356 0.948
O 6.354 -1.417 1.257
O 4.734 3.301 5.337
P 9.569 3.482 6.374
P 8.670 -6.391 6.098
P 6.483 -6.546 2.021
P 5.372 2.342 6.374
P 8.342 -1.666 6.098
P 8.342 1.666 1.744
P 9.569 -3.482 2.021
P 8.670 6.391 1.744
P 5.372 -2.342 2.021
P 6.483 6.546 6.374
P 4.413 4.312 1.744
P 4.413 -4.312 6.098
CELL_PARAMETERS angstrom
7.142 -12.369 0.000
7.142 12.369 0.000
0.000 0.000 8.707
```


Ga2NiS4 | PBE-GGA | relaxed Values from VASP.

Results
mass density: 3.8 g cm⁻³
ΔE_f: -825 meV/atom

Structure (Quantum ESPRESSO input):
```
&SYSTEM
  ibrav = 0, nat = 7, ntyp = 3
/
ATOMIC_SPECIES
S 32.06 S.upf
Ga 69.72 Ga.upf
Ni 58.69 Ni.upf
ATOMIC_POSITIONS angstrom
S -0.327 5.778 -5.107
S -2.546 8.911 -5.743
S -0.801 5.043 -2.095
S 1.417 1.910 -1.459
Ga -1.021 7.316 -6.558
Ga -0.108 3.505 -0.644
Ni -1.953 4.330 -4.083
CELL_PARAMETERS angstrom
-0.410 2.388 2.728
3.186 -0.226 -1.764
-3.906 8.659 -8.166
```


NaYTa3SiP5O24 | PBE-GGA | relaxed Values from VASP.

Results
mass density: 3.9 g cm⁻³
ΔE_f: -3107 meV/atom

Structure (Quantum ESPRESSO input):
```
&SYSTEM
  ibrav = 0, nat = 105, ntyp = 6
/
ATOMIC_SPECIES
O 16.00 O.upf
P 30.97 P.upf
Ta 180.95 Ta.upf
Y 88.91 Y.upf
Si 28.09 Si.upf
Na 22.99 Na.upf
ATOMIC_POSITIONS angstrom
O 2.688 2.821 9.585
O 4.972 5.877 18.534
O 1.268 1.384 18.639
O -1.644 5.324 17.486
O -0.931 3.821 13.222
O 5.086 1.036 3.171
O 1.592 5.335 6.057
O 2.766 7.484 16.092
O 0.817 3.821 8.321
O -1.614 5.316 10.858
O 5.185 3.994 16.903
O -2.778 7.306 21.246
O -0.812 3.799 19.873
O 5.943 2.305 5.523
O 5.314 1.246 16.899
O 6.250 2.251 12.198
O 3.876 0.943 21.126
O -1.031 6.495 6.041
O 1.624 0.312 7.044
O 1.626 0.047 13.850
O 0.618 1.483 16.057
O 3.388 3.877 14.636
O 5.094 0.962 9.593
O -0.820 6.509 19.878
O -3.295 6.511 9.397
O 1.577 4.964 13.223
O 2.615 2.222 0.707
O 6.085 2.823 14.638
O 3.639 6.244 13.866
O -1.609 4.938 1.787
O 3.792 4.339 12.212
O 7.257 0.077 2.247
O 7.964 1.375 13.813
O -2.796 7.477 4.576
O 7.839 1.215 7.098
O -0.797 6.500 22.471
O -1.570 5.081 8.329
O -0.697 3.658 6.052
O 5.407 3.880 3.180
O 5.200 6.250 2.284
O 3.807 1.021 14.640
O -0.614 1.493 4.510
O 6.091 2.967 21.111
O 3.236 6.440 21.217
O 0.667 6.588 1.783
O 1.536 5.137 22.460
O 3.412 1.280 5.546
O 0.893 6.494 17.476
O -3.482 6.360 16.103
O 3.232 3.864 21.116
O -0.664 6.588 13.231
O 5.645 1.154 0.706
O 0.952 6.430 10.858
O 0.942 3.798 1.777
O 5.489 3.967 9.592
O 3.820 3.975 5.532
O 5.032 4.322 0.719
O 7.007 0.398 18.525
O 0.626 3.642 10.846
O 3.197 1.153 12.215
O 0.888 1.343 2.257
O 3.913 6.160 7.122
O 2.819 7.304 9.407
O 3.487 6.390 4.522
O 2.896 2.522 16.904
O -0.553 1.675 21.213
O 0.630 3.745 17.508
O -0.811 3.791 22.464
O 0.481 1.584 9.376
O 1.536 5.164 19.870
O 2.788 2.742 3.177
O 0.704 6.524 8.331
P 2.501 0.051 5.806
P 2.426 5.158 21.154
P -1.259 7.265 21.162
P 6.246 0.056 17.270
P 1.177 2.962 9.552
P 1.262 7.246 9.566
P -1.252 3.023 21.155
P 7.034 2.554 13.448
P -2.481 5.195 9.563
P 5.683 5.420 17.285
P 3.096 0.305 13.454
P 1.833 2.537 1.953
P 3.125 4.859 13.457
P 5.742 0.315 1.951
P 5.719 4.826 1.958
Ta -0.014 5.120 7.079
Ta 4.434 2.577 4.322
Ta -0.016 5.137 18.641
Ta 8.836 0.008 3.450
Ta -0.012 5.125 12.061
Ta 0.000 5.113 0.571
Ta 4.400 2.579 15.749
Ta -0.005 0.049 14.989
Ta 4.384 7.668 8.255
Y 0.011 0.039 19.725
Y 4.411 2.580 11.041
Y 4.407 2.593 22.551
Si 7.554 2.167 5.802
Si 1.321 2.266 17.326
Si 3.197 5.466 5.824
Na 4.366 2.566 19.331
Na -4.453 7.706 22.953
Na 4.427 2.571 7.766
CELL_PARAMETERS angstrom
8.866 -0.003 -0.010
-4.435 7.677 0.015
-0.025 0.030 23.074
```


BaLa2Cl8 | PBE-GGA | relaxed Values from VASP.

Results
mass density: 3.8 g cm⁻³
ΔE_f: -2859 meV/atom
ΔE to the lowest computed polymorph: 0 meV per atom

Structure (Quantum ESPRESSO input):
```
&SYSTEM
  ibrav = 0, nat = 11, ntyp = 3
/
ATOMIC_SPECIES
Cl 35.45 Cl.upf
La 138.91 La.upf
Ba 137.33 Ba.upf
ATOMIC_POSITIONS angstrom
Cl 1.706 2.211 2.288
Cl 3.266 4.417 0.000
Cl 0.000 4.362 4.305
Cl 1.706 7.863 3.091
Cl -3.266 4.417 0.000
Cl -1.706 2.211 2.288
Cl 0.000 5.712 1.074
Cl -1.706 7.863 3.091
La -2.327 5.037 2.689
La 2.327 5.037 2.689
Ba 0.000 0.000 0.000
CELL_PARAMETERS angstrom
6.463 4.417 0.000
-6.463 4.417 0.000
0.000 1.240 5.379
```


LaH6Au3C6N6O3 | PBE-GGA | relaxed Values from VASP.

Results
mass density: 4.1 g cm⁻³
ΔE_f: -452 meV/atom

Structure (Quantum ESPRESSO input):
```
&SYSTEM
  ibrav = 0, nat = 50, ntyp = 6
/
ATOMIC_SPECIES
La 138.91 La.upf
C 12.01 C.upf
O 16.00 O.upf
N 14.01 N.upf
Au 196.97 Au.upf
H 1.01 H.upf
ATOMIC_POSITIONS angstrom
La 2.032 4.134 0.930
La 6.095 12.402 2.789
C 4.421 17.009 0.872
C -2.968 2.977 2.096
C 7.805 15.319 0.987
C 2.730 10.614 3.188
C -0.898 2.669 -1.057
C 1.532 2.115 -3.904
C 1.652 7.857 0.110
C 4.082 7.303 -2.737
C 5.280 15.803 4.354
C 1.871 11.820 -0.295
C 5.255 10.131 -0.179
C -0.418 8.165 3.263
O -0.140 4.972 1.950
O 4.375 13.575 1.331
O 2.484 4.469 -1.549
O 6.853 12.965 -1.368
O -0.853 6.102 -1.516
O 2.452 13.808 4.500
N 5.325 14.713 3.922
N 2.077 3.092 -4.258
N -0.068 3.307 -0.526
N 1.928 12.986 -0.420
N 3.740 6.476 -3.497
N 3.661 11.328 3.161
N -3.012 4.067 2.528
N 7.260 14.342 1.342
N 1.595 6.692 0.235
N 5.597 10.958 0.580
N 3.591 16.370 0.341
N -1.349 7.451 3.289
Au -2.302 1.570 -1.952
Au 4.669 8.717 -1.458
Au 1.156 9.390 3.225
Au 1.761 9.839 -0.093
Au -2.907 1.122 1.366
Au 0.605 0.449 -3.318
H -0.792 5.141 -1.332
H 7.087 13.575 -0.638
H 2.251 3.859 -2.279
H 3.638 13.160 0.838
H -0.306 5.855 2.342
H 3.295 14.302 4.418
H 6.410 12.199 -0.947
H 2.618 12.925 4.109
H -0.982 4.478 2.032
H -0.115 6.518 -1.023
H 2.927 5.235 -1.969
H 4.314 14.536 1.147
CELL_PARAMETERS angstrom
1.211 0.897 -6.636
-5.815 2.243 2.731
8.127 16.537 3.719
```


| no. | raw total energy (Ry per atom) | M_tot (μB/cell) |
| --- | --- | --- |
| 1 | -0.3267 | 0.000 |
| 2 | -0.4643 | 0.002 |
| 3 | -0.3375 | 2.000 |
| 4 | -0.6024 | 0.000 |
| 5 | -0.3549 | 0.001 |
| 6 | -0.4839 | 0.071 |